No. 1
! CaMn6O5F7 GGA+U relaxed; values from VASP
&SYSTEM
  ibrav = 0, nat = 19, ntyp = 4
/
ATOMIC_SPECIES
O 16.00 O.upf
F 19.00 F.upf
Mn 54.94 Mn.upf
Ca 40.08 Ca.upf
CELL_PARAMETERS angstrom
-4.132 4.132 3.038
-0.092 4.888 -4.195
-4.887 0.093 -4.195
ATOMIC_POSITIONS angstrom
O -3.219 6.174 -4.580
F -3.236 5.877 -1.049
F -6.033 3.363 -4.580
F -1.425 3.077 -3.659
F -6.225 3.083 -1.308
Mn -5.182 4.992 -1.412
O -5.372 4.850 0.672
Mn -4.581 4.813 -4.580
O -5.657 5.856 -3.244
Mn -2.312 6.760 -2.890
Mn -5.671 7.856 -3.061
Ca -8.005 5.521 -3.062
F -3.849 3.709 -2.519
F -5.687 5.545 -6.642
Mn -2.543 2.195 -2.075
O -3.696 3.174 1.595
Mn -8.536 8.346 -4.711
O -3.540 3.738 -5.917
F -3.427 1.272 -3.917
! - Energy relative to the elements: -2.609 eV/atom
! - ΔE to the lowest computed polymorph: 0 meV per atom
! - Final energy: -128.02 eV per cell

---

No. 2
! MnAlO3 GGA+U relaxed; values from VASP
&SYSTEM
  ibrav = 0, nat = 10, ntyp = 3
/
ATOMIC_SPECIES
O 16.00 O.upf
Al 26.98 Al.upf
Mn 54.94 Mn.upf
CELL_PARAMETERS angstrom
1.615 -2.798 0.000
1.615 2.798 0.000
0.000 0.000 11.464
ATOMIC_POSITIONS angstrom
O 0.000 0.000 8.598
O 1.615 -0.933 10.595
O 1.615 -0.933 6.600
O 0.000 0.000 2.866
O 1.615 0.933 4.863
Al 0.000 0.000 5.732
O 1.615 0.933 0.868
Mn 1.615 0.933 2.866
Al 0.000 0.000 0.000
Mn 1.615 -0.933 8.598
! - Energy relative to the elements: -2.449 eV/atom
! - Final energy: -72.54 eV per cell

---

No. 3
! Li4V3FeO8 GGA+U relaxed; values from VASP
&SYSTEM
  ibrav = 0, nat = 16, ntyp = 4
/
ATOMIC_SPECIES
O 16.00 O.upf
Li 6.94 Li.upf
V 50.94 V.upf
Fe 55.84 Fe.upf
CELL_PARAMETERS angstrom
-3.368 -3.572 -3.422
5.927 -0.804 0.215
-3.368 -1.357 4.772
ATOMIC_POSITIONS angstrom
O -1.556 -1.366 0.093
O -0.527 -2.222 3.025
Li 4.195 -1.488 2.599
Li -2.118 -4.631 -0.910
O 2.454 -2.573 3.180
V -0.417 -1.759 4.878
O -3.289 -3.159 -1.614
Li 2.538 -3.271 0.884
V 4.230 -2.589 -1.495
Li -0.409 -2.863 0.787
O -0.308 -3.507 -1.456
O 1.425 -1.764 0.232
V 1.266 -2.187 -1.602
O 0.719 -4.362 1.478
O -2.256 -3.966 1.336
Fe 2.543 -4.369 -3.199
! - Energy relative to the elements: -2.197 eV/atom
! - ΔE to the lowest computed polymorph: 135 meV per atom
! - Final energy: -105.23 eV per cell